1.
A plane-wave DFT calculation with meta-GGA r2SCAN was carried out for NdSi2Rh3 after structural relaxation.

Unit cell a=7.1519 b=9.7089 c=5.5846 alpha=90.00 beta=90.00 gamma=90.00
Space group Imma (No. 74)
One atom of each set of equivalent atoms:
Nd1 0.0000 0.2500 0.2117
Si1 0.0000 0.0782 0.6981
Rh1 0.2168 0.0000 0.0000
Rh2 0.2500 0.2500 0.7500

Output
- crystal system = orthorhombic
- spin magnetization (μB per formula unit) = 0.00
- ΔH_f (0 K) (eV per atom) = -1.113


2.
A plane-wave DFT calculation with meta-GGA r2SCAN was carried out for Nd2Si5Rh3 after structural relaxation.

Unit cell a=9.9292 b=11.7541 c=5.8214 alpha=90.00 beta=90.00 gamma=90.00
Space group Ibam (No. 72)
One atom of each set of equivalent atoms:
Nd1 0.2325 0.1309 0.0000
Si1 0.0000 0.0000 0.2500
Si2 0.0000 0.2764 0.2500
Si3 0.1535 0.3934 0.0000
Rh1 0.0000 0.5000 0.2500
Rh2 0.1087 0.1390 0.5000

Output
- crystal system = orthorhombic
- spin magnetization (μB per formula unit) = 0.00
- ΔH_f (0 K) (eV per atom) = -1.013


3.
A plane-wave DFT calculation with meta-GGA r2SCAN was carried out for NdSi2Rh2 after structural relaxation.

Unit cell a=4.0935 b=4.0935 c=10.1255 alpha=90.00 beta=90.00 gamma=90.00
Space group I4/mmm (No. 139)
One atom of each set of equivalent atoms:
Nd1 0.0000 0.0000 0.0000
Si1 0.0000 0.0000 0.3744
Rh1 0.0000 0.5000 0.2500

Output
- crystal system = tetragonal
- spin magnetization (μB per formula unit) = 0.00
- ΔH_f (0 K) (eV per atom) = -1.160